Record 1
The following is a DFT calculation (GGA-PBE) of a relaxed Ca5Ge3H crystal.

## Properties
**E (MP2020)**: -66.31 eV/cell
**Energy relative to the elements**: -0.652 eV/atom

The structure in POSCAR format:
```
Ca5Ge3H
1.0
-7.050 -5.176 -2.585
-5.092 -1.285 7.456
3.199 7.735 -3.621
Ca Ge H
10 6 2
Cartesian
-9.480 -2.264 1.740
-4.246 -0.550 4.024
-5.859 -0.337 0.287
-1.076 3.751 -4.226
-7.867 -2.477 5.476
-6.071 -3.231 2.436
0.000 0.000 0.000
-3.085 1.610 0.964
-4.698 1.824 -2.773
0.536 3.537 -0.489
-9.107 -4.846 3.654
-7.248 -0.462 3.175
-7.323 -3.008 -0.389
-1.696 1.736 -1.925
-1.621 4.282 1.639
-3.036 -1.615 1.218
-4.961 -0.336 -1.885
-3.982 1.609 3.135
```

Record 2
The following is a DFT calculation (GGA-PBE) of a relaxed LiCa7Ge3H3 crystal.

## Properties
**E (MP2020)**: -194.28 eV/cell
**Energy relative to the elements**: -0.612 eV/atom

The structure in POSCAR format:
```
LiCa7Ge3H3
1.0
8.741 0.000 0.000
0.000 9.859 0.000
0.000 0.000 13.732
H Ca Ge Li
12 28 12 4
Cartesian
8.350 5.226 3.433
4.761 0.297 3.433
3.980 9.562 10.299
6.566 3.661 10.299
2.196 1.269 3.433
4.066 2.510 10.299
0.304 7.439 10.299
4.675 7.350 3.433
6.545 8.591 10.299
8.437 2.420 3.433
0.391 4.633 10.299
2.175 6.198 3.433
1.709 3.790 3.433
3.889 5.817 1.504
2.880 1.111 12.215
4.852 4.042 8.369
5.861 8.749 5.349
4.769 8.027 12.096
0.398 6.762 5.230
2.880 1.111 8.382
8.343 3.098 8.501
8.259 8.972 8.369
0.482 0.887 5.362
1.491 6.040 8.382
2.661 8.720 3.433
7.250 3.819 5.349
1.491 6.040 12.215
3.889 5.817 5.362
8.259 8.972 12.228
8.343 3.098 12.096
5.861 8.749 1.516
4.769 8.027 8.501
3.972 1.832 5.230
7.250 3.819 1.516
7.031 6.069 10.299
3.972 1.832 1.635
4.852 4.042 12.228
0.398 6.762 1.635
0.482 0.887 1.504
6.080 1.140 10.299
0.663 1.044 10.299
6.893 6.229 7.209
1.848 3.630 6.522
1.848 3.630 0.343
6.893 6.229 13.388
2.522 8.560 6.522
3.707 5.974 10.299
5.033 3.885 3.433
6.219 1.299 13.388
2.522 8.560 0.343
8.078 8.815 3.433
6.219 1.299 7.209
2.231 3.594 10.299
6.601 1.335 3.433
6.510 6.265 3.433
2.139 8.524 10.299
```

Record 3
The following is a DFT calculation (GGA-PBE) of a relaxed CaNiGeH crystal.

## Properties
**E (MP2020)**: -36.12 eV/cell
**Energy relative to the elements**: -0.564 eV/atom

The structure in POSCAR format:
```
CaNiGeH
1.0
-2.296 -3.181 -0.861
1.196 -1.782 3.395
-5.964 3.271 3.818
Ge Ca Ni H
2 2 2 2
Cartesian
-5.066 0.559 2.078
-1.448 0.231 3.007
-2.051 -1.095 0.148
-4.463 1.885 4.937
-3.532 -0.846 3.176
-2.982 1.636 1.909
-0.550 -2.481 1.267
0.000 0.000 0.000
```

Record 4
The following is a DFT calculation (GGA-PBE) of a relaxed Ca3GeH12S2O17 crystal.

## Properties
**E (MP2020)**: -424.87 eV/cell
**Energy relative to the elements**: -1.963 eV/atom

The structure in POSCAR format:
```
Ca3GeH12S2O17
1.0
-4.331 -7.502 0.000
-4.331 7.502 0.000
0.000 0.000 -10.961
H O S Ca Ge
24 34 4 6 2
Cartesian
-4.331 -5.190 -6.132
-4.331 -5.190 -10.309
-6.660 -1.156 -6.132
-6.660 1.156 -0.652
-4.331 0.767 -3.497
-4.331 5.190 -0.652
-6.660 1.156 -4.829
-4.331 0.767 -1.984
-2.830 3.367 -1.984
-4.331 5.190 -4.829
-5.832 3.367 -1.984
-2.830 -3.367 -8.977
-5.832 3.367 -3.497
-2.830 3.367 -3.497
-5.833 -3.367 -8.977
-2.002 -1.156 -10.309
-4.331 -0.767 -7.464
-2.002 -1.156 -6.132
-6.660 -1.156 -10.309
-4.331 -0.767 -8.977
-2.830 -3.367 -7.464
-2.002 1.156 -0.652
-2.002 1.156 -4.829
-5.833 -3.367 -7.464
-4.331 0.137 -2.740
-4.331 -2.501 -9.761
-7.362 -0.751 -6.689
-2.285 -3.682 -8.221
-1.301 -0.751 -6.689
-6.378 -3.682 -8.221
-7.362 0.751 -4.271
-4.331 3.911 -10.197
-1.301 0.751 -1.209
-5.553 1.795 -10.197
-4.331 6.000 -4.271
-5.553 1.795 -6.244
-3.110 1.795 -10.197
-4.331 -6.000 -6.690
-7.362 0.751 -1.209
-5.553 -1.795 -4.717
-1.301 -0.751 -9.752
-3.110 -1.795 -0.763
-4.331 -0.137 -8.221
-5.553 -1.795 -0.764
-4.331 -2.501 -6.680
-7.362 -0.751 -9.752
-4.331 2.501 -1.200
-4.331 2.501 -4.281
-3.110 -1.795 -4.717
-2.285 3.682 -2.740
-1.301 0.751 -4.271
-6.378 3.682 -2.740
-3.110 1.795 -6.244
-4.331 -3.911 -4.717
-4.331 3.911 -6.244
-4.331 -6.000 -9.752
-4.331 -3.911 -0.763
-4.331 6.000 -1.209
-4.331 2.501 -5.775
-4.331 2.501 -10.666
-4.331 -2.501 -5.186
-4.331 -2.501 -0.294
-1.972 1.139 -8.221
-4.331 -5.225 -2.740
-1.972 -1.139 -2.740
-6.690 -1.139 -2.740
-4.331 5.225 -8.221
-6.690 1.139 -8.221
0.000 0.000 0.000
0.000 0.000 -5.480
```

Record 5
The following is a DFT calculation (GGA-PBE) of a relaxed Ca2HgGe crystal.

## Properties
**Energy relative to the elements**: -0.599 eV/atom

The structure in POSCAR format:
```
Ca2HgGe
1.0
0.433 2.812 4.456
1.272 5.127 -0.223
-3.617 3.675 1.169
Ge Ca Hg
1 2 1
Cartesian
-0.956 5.807 2.701
-0.478 2.903 1.351
-1.434 8.710 4.052
0.000 0.000 0.000
```

Record 6
The following is a DFT calculation (GGA-PBE) of a relaxed Ca3In2Ge3O12 crystal.

## Properties
**E (MP2020)**: -546.54 eV/cell
**Energy relative to the elements**: -2.594 eV/atom

The structure in POSCAR format:
```
Ca3In2Ge3O12
1.0
-6.378 -6.378 6.378
-6.378 6.378 -6.378
6.378 -6.378 -6.378
Ge Ca O In
12 12 48 8
Cartesian
-4.783 -6.378 3.189
-3.189 -4.783 0.000
3.189 -4.783 -6.378
-4.783 0.000 -3.189
-1.594 -6.378 -3.189
-1.594 0.000 -9.567
-9.567 -1.594 0.000
-6.378 3.189 -4.783
0.000 -9.567 -1.594
-6.378 -3.189 -1.594
0.000 -3.189 -4.783
-3.189 -1.594 -6.378
-7.972 0.000 -3.189
-1.594 0.000 -3.189
0.000 -3.189 -7.972
0.000 -3.189 -1.594
-3.189 -4.783 -6.378
-3.189 1.594 -6.378
-6.378 -3.189 -4.783
-4.783 -6.378 -3.189
-6.378 -3.189 1.594
-3.189 -7.972 0.000
1.594 -6.378 -3.189
-3.189 -1.594 0.000
1.172 -3.883 -3.622
-0.433 -0.694 -8.395
-10.000 1.172 -2.495
-2.756 -5.206 -3.883
-3.622 -7.550 2.495
-2.495 -10.000 1.172
1.172 -2.495 -10.000
-2.017 -5.945 0.694
-3.622 -1.172 -2.495
-5.684 2.017 -5.945
-3.622 1.172 -3.883
-6.811 -5.684 -4.361
-2.756 1.172 -8.873
-0.433 -7.072 -4.361
-2.495 -2.756 -7.550
2.495 -3.622 -7.550
-0.694 -8.395 -0.433
-1.172 -2.495 -3.622
-4.361 -6.811 -5.684
-7.550 -3.883 3.622
-4.361 -5.945 -0.694
0.433 -0.694 -2.017
-7.550 2.495 -3.622
-0.694 -2.017 0.433
-5.206 -3.883 -2.756
-2.756 -7.550 -2.495
-2.017 -0.433 -5.684
-8.873 -2.756 1.172
2.017 -5.945 -5.684
3.622 -7.550 -3.883
0.694 -2.017 -5.945
-5.684 -2.017 -0.433
-0.694 -4.361 -5.945
-7.550 -2.495 -2.756
-3.883 -3.622 1.172
-8.395 -0.433 -0.694
-4.361 -0.433 -7.072
-5.945 -0.694 -4.361
-0.433 -5.684 -2.017
-3.883 3.622 -7.550
1.172 -8.873 -2.756
-5.945 0.694 -2.017
-5.684 -4.361 -6.811
-5.945 -5.684 2.017
-7.072 -4.361 -0.433
-2.017 0.433 -0.694
-3.883 -2.756 -5.206
-2.495 -3.622 -1.172
-3.189 -3.189 -3.189
3.189 -3.189 -3.189
-3.189 3.189 -3.189
0.000 0.000 -6.378
0.000 0.000 0.000
-6.378 0.000 0.000
0.000 -6.378 0.000
-3.189 -3.189 3.189
```

Record 7
The following is a DFT calculation (GGA-PBE) of a relaxed Ca3Ge13Ir4 crystal.

## Properties
**Energy relative to the elements**: -0.428 eV/atom

The structure in POSCAR format:
```
Ca3Ge13Ir4
1.0
9.106 0.000 0.000
0.000 9.106 0.000
0.000 0.000 9.106
Ge Ir Ca
26 8 6
Cartesian
7.798 6.386 0.000
0.000 7.798 2.720
2.720 0.000 7.798
4.553 1.833 5.861
4.553 7.274 5.861
7.798 2.720 0.000
5.861 4.553 7.274
4.553 1.833 3.245
0.000 1.308 6.386
7.274 5.861 4.553
1.308 2.720 0.000
7.274 3.245 4.553
3.245 4.553 7.274
6.386 0.000 1.308
6.386 0.000 7.798
1.308 6.386 0.000
0.000 1.308 2.720
2.720 0.000 1.308
1.833 3.245 4.553
1.833 5.861 4.553
0.000 7.798 6.386
4.553 7.274 3.245
5.861 4.553 1.833
3.245 4.553 1.833
0.000 0.000 0.000
4.553 4.553 4.553
2.277 6.830 6.830
6.830 2.277 6.830
6.830 2.277 2.277
2.277 6.830 2.277
6.830 6.830 2.277
2.277 2.277 6.830
6.830 6.830 6.830
2.277 2.277 2.277
0.000 4.553 6.830
4.553 2.277 0.000
0.000 4.553 2.277
6.830 0.000 4.553
2.277 0.000 4.553
4.553 6.830 0.000
```

Record 8
The following is a DFT calculation (GGA-PBE) of a relaxed CaMgGeO4 crystal.

## Properties
**E (MP2020)**: -192.48 eV/cell
**Energy relative to the elements**: -2.871 eV/atom

The structure in POSCAR format:
```
CaMgGeO4
1.0
-2.629 3.800 -2.040
-1.230 -3.638 -5.191
-9.470 -3.884 4.966
Mg O Ge Ca
4 16 4 4
Cartesian
-6.049 -0.042 1.463
-0.615 -1.819 -2.595
-6.664 -1.861 -1.132
0.000 0.000 0.000
-2.137 0.312 0.031
-10.655 -2.447 -0.032
-10.243 -5.426 0.207
-9.878 -3.645 2.888
-8.154 -2.065 -2.644
-7.334 -3.324 0.308
-6.531 -1.984 -4.836
-3.086 1.705 -2.471
-11.192 -4.033 -2.296
-2.673 -1.275 -2.232
-5.175 -1.656 0.379
-5.610 -3.336 -2.356
-6.798 -1.737 2.572
-3.451 -0.076 -5.152
-7.719 -0.385 0.091
-5.995 -0.398 -2.573
-6.015 -2.866 1.426
-2.180 0.377 -1.756
-7.314 -0.856 -3.691
-11.149 -4.099 -0.509
-4.334 -1.744 -3.774
-8.995 -1.977 1.510
-7.815 -5.499 -0.318
-5.514 1.778 -1.947
```

Question: Which of these has the lowest energy relative to the elements?
Answer: CaMgGeO4

Question: What is the energy relative to the elements in the sixth record?
Answer: -2.594 eV/atom